LaCuS2: optimized geometry, PBE-GGA.

POSCAR file:
```
LaCuS2
1.0
6.606 0.000 0.000
0.000 7.318 0.000
-0.954 0.000 6.880
La Cu S
4 4 8
direct
0.190 0.052 0.299
0.190 0.448 0.799
0.810 0.552 0.201
0.810 0.948 0.701
0.428 0.666 0.456
0.428 0.834 0.956
0.572 0.166 0.044
0.572 0.334 0.544
0.090 0.727 0.499
0.090 0.773 0.999
0.413 0.117 0.722
0.413 0.383 0.222
0.587 0.617 0.778
0.587 0.883 0.278
0.910 0.227 0.001
0.910 0.273 0.501
```

Space-group type   P2_1/c, No. 14
Energy of formation   -1.718 eV/atom

---

LiSn3SbP6O24: optimized geometry, PBE-GGA.

POSCAR file:
```
LiSn3SbP6O24
1.0
4.372 2.524 7.422
-4.372 2.524 7.422
0.000 -5.048 7.422
Li Sn Sb P O
1 3 1 6 24
direct
0.000 0.000 0.000
0.144 0.144 0.144
0.355 0.355 0.355
0.640 0.640 0.640
0.851 0.851 0.851
0.035 0.456 0.749
0.242 0.958 0.543
0.456 0.749 0.035
0.543 0.242 0.958
0.749 0.035 0.456
0.958 0.543 0.242
0.009 0.623 0.785
0.057 0.273 0.919
0.069 0.935 0.729
0.129 0.518 0.266
0.204 0.983 0.382
0.213 0.440 0.578
0.266 0.129 0.518
0.273 0.919 0.057
0.382 0.204 0.983
0.408 0.779 0.570
0.440 0.578 0.213
0.487 0.721 0.866
0.518 0.266 0.129
0.570 0.408 0.779
0.578 0.213 0.440
0.623 0.785 0.009
0.721 0.866 0.487
0.729 0.069 0.935
0.779 0.570 0.408
0.785 0.009 0.623
0.866 0.487 0.721
0.919 0.057 0.273
0.935 0.729 0.069
0.983 0.382 0.204
```

Spin magnetization   0.00 μB/f.u.
Space-group type   R3, No. 146
Energy of formation   -2.461 eV/atom
Offset from the most stable computed form   5 meV per atom

---

Mn2N: optimized geometry, PBE-GGA.

POSCAR file:
```
Mn2N
1.0
4.397 0.000 0.000
0.000 5.548 0.000
0.000 0.000 4.827
Mn N
8 4
direct
0.250 0.121 0.083
0.250 0.379 0.583
0.250 0.621 0.083
0.250 0.879 0.583
0.750 0.121 0.417
0.750 0.379 0.917
0.750 0.621 0.417
0.750 0.879 0.917
0.000 0.134 0.750
0.000 0.866 0.250
0.500 0.366 0.250
0.500 0.634 0.750
```

Space-group type   Pbcn, No. 60
Energy of formation   -0.404 eV/atom

---

Mg6NbCdO8: optimized geometry, PBE-GGA.

POSCAR file:
```
Mg6NbCdO8
1.0
4.429 0.000 0.000
0.000 4.429 0.000
0.000 0.000 8.963
Mg Nb Cd O
6 1 1 8
direct
0.000 0.000 0.000
0.000 0.000 0.500
0.000 0.500 0.247
0.000 0.500 0.753
0.500 0.000 0.247
0.500 0.000 0.753
0.500 0.500 0.500
0.500 0.500 0.000
0.000 0.000 0.252
0.000 0.000 0.748
0.000 0.500 0.000
0.000 0.500 0.500
0.500 0.000 0.000
0.500 0.000 0.500
0.500 0.500 0.258
0.500 0.500 0.742
```

Spin magnetization   2.33 μB/f.u.
Space-group type   P4/mmm, No. 123
Energy of formation   -2.486 eV/atom
Offset from the most stable computed form   15 meV per atom